No. 1
Density functional theory data (PBE) for crystalline KTiH2S2O9 at its relaxed geometry.

Cell and atoms, written as extended XYZ:
```
30
Lattice="5.324 0.000 0.000 0.000 7.800 0.000 0.000 1.801 9.123" Properties=species:S:1:pos:R:3 pbc="T T T"
K 1.331 4.651 6.527
K 3.993 4.951 2.596
Ti 3.993 1.139 2.439
Ti 1.331 8.463 6.684
H 3.993 3.165 8.848
H 1.331 6.436 0.276
H 3.993 7.563 0.040
H 1.331 2.038 9.083
S 3.993 6.768 7.817
S 1.331 2.834 1.306
S 1.331 7.212 3.542
S 3.993 2.390 5.581
O 2.780 7.077 6.943
O 0.117 2.525 2.180
O 2.545 2.525 2.180
O 5.207 7.077 6.943
O 3.993 5.343 8.109
O 1.331 4.258 1.014
O 3.993 7.636 9.004
O 1.331 1.966 0.119
O 2.781 2.136 6.446
O 0.118 7.466 2.677
O 2.544 7.466 2.677
O 5.206 2.136 6.446
O 3.993 1.405 4.467
O 1.331 8.197 4.656
O 3.993 3.778 5.141
O 1.331 5.824 3.983
O 3.993 0.684 0.426
O 1.331 8.917 8.698
```

Results
**Spin magnetization**: 1.00 μB/f.u.

No. 2
Density functional theory data (PBE) for crystalline KUH3SO8 at its relaxed geometry.

Cell and atoms, written as extended XYZ:
```
56
Lattice="8.589 0.000 0.000 0.000 8.386 0.000 0.000 4.382 10.781" Properties=species:S:1:pos:R:3 pbc="T T T"
K 4.204 1.437 2.301
K 8.499 9.139 3.090
K 4.385 11.330 8.480
K 0.090 3.628 7.691
U 5.221 5.679 2.085
U 0.927 4.897 3.305
U 3.368 7.088 8.696
U 7.662 7.870 7.476
H 6.660 11.557 10.382
H 2.365 3.401 5.789
H 1.929 1.210 0.399
H 6.223 9.366 4.992
H 6.721 9.998 10.028
H 2.427 4.961 6.144
H 1.867 2.770 0.753
H 6.162 7.807 4.637
H 7.821 5.552 1.304
H 3.526 5.025 4.086
H 0.768 7.216 9.477
H 5.062 7.743 6.695
S 2.095 6.976 0.510
S 6.389 3.600 4.880
S 6.494 5.791 10.271
S 2.200 9.167 5.901
O 3.576 6.790 0.755
O 7.870 3.787 4.636
O 5.013 5.978 10.026
O 0.719 8.981 6.145
O 7.520 5.207 2.171
O 3.225 5.369 3.219
O 1.069 7.560 8.610
O 5.363 7.398 7.562
O 1.830 11.387 9.857
O 6.124 3.571 6.314
O 6.759 1.380 0.924
O 2.464 9.196 4.467
O 5.553 7.335 2.835
O 1.259 3.242 2.556
O 3.036 5.433 7.946
O 7.330 9.526 8.225
O 4.936 4.045 1.371
O 0.642 6.532 4.019
O 3.653 8.723 9.410
O 7.947 6.236 6.762
O 1.373 5.825 1.162
O 5.667 4.751 4.228
O 7.216 6.942 9.619
O 2.921 8.016 6.553
O 1.671 8.242 1.178
O 5.965 2.334 4.212
O 6.918 4.525 9.603
O 2.624 10.433 6.569
O 6.405 10.632 10.713
O 2.110 4.327 5.459
O 2.184 2.136 0.068
O 6.478 8.441 5.322
```

Results
**Spin magnetization**: 0.00 μB/f.u.
**Offset from the most stable computed form**: 1.8 kJ/mol of atoms

No. 3
Density functional theory data (PBE) for crystalline KUH3SO8 at its relaxed geometry.

Cell and atoms, written as extended XYZ:
```
56
Lattice="8.280 0.000 0.000 0.000 8.133 0.000 -3.948 0.000 11.068" Properties=species:S:1:pos:R:3 pbc="T T T"
K -0.604 3.773 3.286
K 6.909 7.839 2.248
K 4.935 4.361 7.782
K -2.578 0.294 8.820
U 3.587 4.886 3.282
U 2.718 0.820 2.252
U 0.744 3.247 7.786
U 1.613 7.314 8.815
H 1.533 6.834 3.818
H 4.773 2.767 1.716
H 2.798 1.299 7.250
H -0.441 5.366 9.351
H -2.770 2.402 10.960
H 5.127 6.469 5.642
H 7.101 5.731 0.108
H -0.796 1.665 5.426
H 2.665 2.922 0.131
H 3.640 6.989 5.403
H 1.666 5.211 10.936
H 0.691 1.144 5.665
S 1.533 5.998 0.429
S 4.773 1.932 5.105
S 2.799 2.135 10.639
S -0.441 6.202 5.963
O 1.613 7.487 0.691
O 4.692 3.421 4.843
O 2.718 0.646 10.376
O -0.361 4.713 6.225
O 2.425 6.961 3.416
O 3.880 2.894 2.118
O 1.906 1.172 7.652
O 0.451 5.239 8.950
O -0.326 6.434 4.512
O 6.632 2.368 1.022
O 4.657 1.699 6.556
O -2.300 5.765 10.045
O 5.235 5.427 2.713
O 1.071 1.360 2.821
O -0.904 2.706 8.355
O 3.261 6.773 8.246
O 1.997 4.245 3.848
O 4.309 0.178 1.686
O 2.335 3.889 7.220
O 0.023 7.955 9.382
O 2.684 5.311 1.112
O 3.622 1.244 4.422
O 1.648 2.822 9.955
O 0.710 6.889 6.646
O 0.253 5.498 0.987
O 6.052 1.431 4.546
O 4.078 2.635 10.080
O -1.721 6.702 6.521
O 2.098 2.130 0.183
O 4.208 6.197 5.351
O 2.233 6.003 10.885
O 0.124 1.937 5.716
```

Results
**Spin magnetization**: 0.01 μB/f.u.
**Offset from the most stable computed form**: 0.0 kJ/mol of atoms

No. 4
Density functional theory data (PBE) for crystalline KUHSO7 at its relaxed geometry.

Cell and atoms, written as extended XYZ:
```
88
Lattice="-2.711 -7.956 1.560 2.011 -2.775 -10.656 12.781 -3.693 3.373" Properties=species:S:1:pos:R:3 pbc="T T T"
K 9.281 -10.408 -1.251
K 1.729 -2.821 0.894
K 10.139 -7.172 -7.810
K 3.013 -8.448 -3.278
K 2.800 -4.017 -4.472
K 10.352 -11.604 -6.616
K 1.942 -7.252 2.088
K 9.068 -5.976 -2.445
U 0.459 -6.993 -6.818
U 13.448 -6.411 -4.705
U 5.200 -5.541 -0.423
U 5.056 -9.904 0.500
U 11.622 -7.431 1.096
U -1.367 -8.013 -1.018
U 6.881 -8.884 -5.300
U 7.025 -4.521 -6.223
H 12.918 -8.041 -2.439
H -0.342 -9.269 -8.318
H 4.922 -7.357 1.754
H 6.665 -4.181 -2.442
H -0.837 -6.383 -3.284
H 12.423 -5.155 2.595
H 7.159 -7.067 -7.476
H 5.416 -10.244 -3.280
S 10.468 -8.628 -4.525
S 1.510 -10.436 -5.887
S 7.979 -7.609 0.619
S 4.205 -2.175 -1.651
S 1.613 -5.796 -1.197
S 10.571 -3.988 0.165
S 4.102 -6.815 -6.341
S 7.876 -12.249 -4.071
O 0.579 -4.626 -6.649
O 12.018 -12.620 -4.121
O 4.818 -7.548 0.791
O 6.746 -4.055 -1.467
O 11.502 -9.799 0.926
O 0.063 -1.804 -1.602
O 7.263 -6.876 -6.513
O 5.335 -10.370 -4.256
O -0.443 -6.916 -5.233
O 14.030 -7.426 -6.106
O 5.494 -4.780 1.210
O 5.081 -9.727 -1.316
O 12.524 -7.508 -0.490
O -1.949 -6.999 0.383
O 6.587 -9.645 -6.933
O 7.000 -4.697 -4.406
O 11.295 -9.877 -4.658
O 2.838 -2.861 -6.995
O 7.362 -6.650 -0.361
O 2.666 -9.461 0.570
O 0.786 -4.547 -1.065
O 9.243 -11.564 1.273
O 4.719 -7.774 -5.361
O 9.415 -4.964 -6.292
O 9.341 -8.729 -5.515
O 2.465 -10.839 -4.799
O 9.381 -7.887 0.152
O 2.975 -1.393 -1.284
O 2.740 -5.695 -0.208
O 9.616 -3.585 -0.924
O 2.700 -6.537 -5.875
O 9.106 -13.031 -4.439
O 11.277 -7.453 -4.973
O 1.609 -8.946 -5.963
O 7.271 -8.924 0.533
O 4.005 -3.527 -1.043
O 0.804 -6.972 -0.750
O 10.472 -5.479 0.240
O 4.810 -5.501 -6.256
O 8.076 -10.898 -4.680
O 1.302 -7.042 -8.409
O 12.929 -5.409 -3.300
O 4.959 -6.324 -2.027
O 4.971 -10.074 2.292
O 10.779 -7.382 2.687
O -0.848 -9.016 -2.422
O 7.122 -8.101 -3.695
O 7.110 -4.351 -8.015
O 10.007 -8.463 -3.150
O 1.817 -11.055 -7.174
O 7.926 -7.064 1.972
O 4.412 -2.267 -3.094
O 2.075 -5.962 -2.573
O 10.264 -3.370 1.452
O 4.155 -7.360 -7.695
O 7.669 -12.157 -2.629
```

Results
**Spin magnetization**: 0.00 μB/f.u.

No. 5
Density functional theory data (PBE) for crystalline KUH3SO8 at its relaxed geometry.

Cell and atoms, written as extended XYZ:
```
56
Lattice="-8.401 1.067 1.604 1.198 -2.407 7.876 1.247 11.740 -1.277" Properties=species:S:1:pos:R:3 pbc="T T T"
K -7.726 4.344 1.607
K -2.564 0.656 7.942
K 1.770 6.055 6.595
K -3.392 9.743 0.260
U 0.233 2.313 4.326
U -4.297 1.897 4.035
U -6.189 8.086 3.876
U -1.660 8.502 4.168
H -0.679 4.434 6.673
H -5.234 11.908 1.002
H -5.277 5.965 1.530
H -0.723 -1.510 7.201
H -1.321 4.762 5.240
H -5.371 11.680 2.583
H -4.635 5.637 2.963
H -0.586 -1.281 5.619
H -2.174 2.655 5.297
H -6.898 2.191 4.019
H -3.782 7.744 2.905
H 0.942 8.208 4.183
S -4.669 4.190 6.905
S -1.696 0.312 1.894
S -1.288 6.209 1.297
S -4.260 10.087 6.308
O -6.185 4.127 7.001
O -3.080 0.743 2.353
O 0.228 6.272 1.201
O -2.876 9.656 5.849
O -2.094 2.616 4.322
O -6.463 2.164 4.896
O -3.862 7.783 3.880
O 0.507 8.235 3.306
O -4.223 5.543 7.222
O -0.490 10.647 0.223
O -1.733 4.856 0.980
O -5.466 -0.248 7.979
O 0.022 1.284 5.822
O -4.781 3.014 2.671
O -5.978 9.115 2.380
O -1.175 7.385 5.531
O 0.372 3.329 2.835
O -3.875 0.810 5.419
O -6.329 7.070 5.367
O -2.081 9.589 2.784
O -4.269 3.808 5.509
O -0.739 0.521 3.032
O -1.687 6.591 2.693
O -5.218 9.878 5.171
O -4.113 3.175 7.851
O -1.295 1.205 0.766
O -1.843 7.224 0.351
O -4.662 9.194 7.436
O -0.552 4.334 5.668
O -4.731 11.929 1.886
O -5.404 6.065 2.534
O -1.225 -1.530 6.316
```

Results
**Spin magnetization**: 0.00 μB/f.u.
**Offset from the most stable computed form**: 3.8 kJ/mol of atoms

No. 6
Density functional theory data (PBE) for crystalline K4ZnH6S4O18 at its relaxed geometry.

Cell and atoms, written as extended XYZ:
```
132
Lattice="-5.727 -1.426 -4.461 4.873 -10.918 -2.766 -10.684 -8.970 16.585" Properties=species:S:1:pos:R:3 pbc="T T T"
K -3.657 -6.501 -0.652
K -6.718 -8.092 0.235
K -8.660 -8.941 12.685
K -8.914 -8.176 9.216
K -7.881 -14.813 10.011
K -4.820 -13.222 9.124
K -2.879 -12.373 -3.326
K -2.624 -13.138 0.143
K -2.742 -11.434 4.236
K 0.993 -8.228 -1.838
K -6.241 -15.309 3.832
K -10.213 -18.574 9.722
K -8.796 -9.880 5.123
K -12.531 -13.086 11.197
K -5.297 -6.005 5.527
K -1.325 -2.740 -0.363
Zn -0.873 -9.835 1.198
Zn -8.229 -16.937 6.778
Zn -10.665 -11.478 8.161
Zn -3.309 -4.377 2.581
H 2.059 -10.804 -2.565
H -1.523 -13.981 3.665
H -11.448 -16.040 10.317
H -7.292 -12.720 4.535
H -13.597 -10.510 11.924
H -10.015 -7.333 5.694
H -0.090 -5.274 -0.958
H -4.246 -8.593 4.825
H -5.075 -4.066 1.043
H -7.772 -4.991 -0.057
H -6.632 -11.224 11.465
H -8.470 -11.429 9.033
H -6.463 -17.248 8.316
H -3.766 -16.323 9.416
H -4.906 -10.089 -2.106
H -3.068 -9.885 0.326
H -6.350 -5.351 2.415
H -6.237 -4.289 -1.577
H -5.987 -10.096 9.602
H -9.375 -11.974 11.044
H -5.188 -15.963 6.944
H -5.301 -17.025 10.936
H -5.551 -11.218 -0.243
H -2.163 -9.340 -1.685
S -4.314 -3.272 -2.482
S -8.223 -6.479 3.292
S -9.534 -12.552 13.322
S -5.877 -9.407 7.352
S -7.224 -18.042 11.841
S -3.315 -14.835 6.067
S -2.004 -8.762 -3.963
S -5.661 -11.907 2.007
S 0.687 -11.975 -1.406
S 0.037 -13.229 2.400
S -10.988 -15.096 8.448
S -7.939 -13.245 6.511
S -12.225 -9.339 10.765
S -11.575 -8.085 6.959
S -0.550 -6.218 0.911
S -3.599 -8.069 2.849
O -3.474 -3.965 -1.435
O -8.495 -7.057 1.923
O -8.597 -11.416 13.659
O -7.382 -9.272 7.337
O -8.064 -17.349 10.794
O -3.043 -14.257 7.436
O -2.941 -9.898 -4.300
O -4.156 -12.042 2.022
O -4.270 -4.057 -3.769
O -7.468 -7.484 4.125
O -10.961 -12.111 13.532
O -5.250 -8.058 7.595
O -7.268 -17.257 13.128
O -4.070 -13.830 5.234
O -0.577 -9.202 -4.173
O -6.288 -13.256 1.764
O -5.906 -3.404 -1.948
O -7.136 -5.217 3.043
O -9.391 -12.780 11.660
O -5.517 -10.309 8.728
O -5.632 -17.910 11.307
O -4.402 -16.097 6.316
O -2.147 -8.534 -2.301
O -6.021 -11.005 0.631
O -10.933 -9.238 16.073
O -7.753 -5.384 6.460
O -1.035 -6.117 -3.769
O -8.227 -10.971 2.720
O -0.605 -12.076 -6.714
O -3.785 -15.930 2.899
O -10.503 -15.197 13.128
O -3.311 -10.343 6.639
O 0.621 -10.782 -0.546
O -0.914 -12.142 2.118
O -9.843 -16.020 8.429
O -8.067 -14.600 5.952
O -12.159 -10.531 9.905
O -10.624 -9.171 7.241
O -1.695 -5.294 0.930
O -3.471 -6.714 3.407
O -3.225 -2.045 1.867
O -4.887 -3.363 4.142
O -10.619 -13.777 8.977
O -9.219 -12.524 6.498
O -8.313 -19.269 7.492
O -6.651 -17.951 5.217
O -0.919 -7.537 0.382
O -2.319 -8.789 2.861
O 1.340 -11.429 -2.787
O -0.548 -13.926 3.744
O -11.986 -15.729 9.561
O -7.009 -12.462 5.435
O -12.878 -9.885 12.146
O -10.990 -7.388 5.615
O 0.448 -5.585 -0.202
O -4.529 -8.852 3.924
O -0.596 -12.530 -1.808
O -4.348 -14.233 -1.692
O -6.057 -13.633 11.691
O -7.202 -13.149 7.761
O -10.942 -8.784 11.167
O -7.190 -7.081 11.051
O -5.481 -7.681 -2.332
O -4.336 -8.165 1.598
O -4.809 -4.866 1.532
O -7.477 -5.449 -0.865
O -6.361 -10.291 11.394
O -9.302 -11.105 9.423
O -6.729 -16.448 7.827
O -4.062 -15.865 10.224
O -5.177 -11.023 -2.035
O -2.236 -10.209 -0.064
```

Results
**Spin magnetization**: 0.02 μB/f.u.

Table of final energy (eV/atom), in record order: -6.253, -6.602, -6.621, -7.081, -6.582, -5.262
Table of energy of formation (eV per atom), in record order: -2.092, -2.259, -2.278, -2.558, -2.238, -1.646
Table of calculated density (kg/m³), in record order: 2604, 3766, 3923, 4270, 3699, 2174